Density functional theory data (PBE) for a geometry-optimized Ta4Te9I4O structure.

Calculated values
energy of formation	-0.5541	eV per atom
DFT total energy	-5.3362	eV/atom

```
data_Ta4Te9I4O
_symmetry_space_group_name_H-M 'C 1 2/c 1'
_symmetry_Int_Tables_number 15
_cell_length_a 22.597
_cell_length_b 6.280
_cell_length_c 20.675
_cell_angle_alpha 90.00
_cell_angle_beta 122.08
_cell_angle_gamma 90.00
loop_
_symmetry_equiv_pos_as_xyz
'x,y,z'
'-x,-y,-z'
'-x,y,-z+1/2'
'x,-y,z+1/2'
'x+1/2,y+1/2,z'
'-x+1/2,-y+1/2,-z'
'-x+1/2,y+1/2,-z+1/2'
'x+1/2,-y+1/2,z+1/2'
loop_
_atom_site_label
_atom_site_type_symbol
_atom_site_fract_x
_atom_site_fract_y
_atom_site_fract_z
_atom_site_occupancy
Ta1 Ta 0.065 0.062 0.361 1
Ta2 Ta 0.075 0.300 0.237 1
Te1 Te 0.000 0.341 0.750 1
Te2 Te 0.021 0.363 0.427 1
Te3 Te 0.059 0.002 0.627 1
Te4 Te 0.169 0.366 0.401 1
Te5 Te 0.178 0.000 0.333 1
I1 I 0.139 0.197 0.992 1
I2 I 0.170 0.448 0.721 1
O1 O 0.000 0.114 0.250 1
```